Record 1
Here is a geometry-optimized Sr2NdNbO6 structure from the Materials Project. Energies are from PBE.

Computed properties:
Space-group type: Fm-3m, No. 225

Lattice parameters (Å, degrees): 6.092 6.092 6.092 60.00 60.00 60.00
Fractional positions:
Sr  0.250  0.250  0.250
O  0.233  0.767  0.767
Nb  0.000  0.000  0.000
O  0.767  0.767  0.233
O  0.233  0.233  0.767
Nd  0.500  0.500  0.500
Sr  0.750  0.750  0.750
O  0.767  0.233  0.767
O  0.233  0.767  0.233
O  0.767  0.233  0.233

=====

Record 2
Here is a geometry-optimized Zn2PHO5 structure from the Materials Project. Energies are from PBE.

Computed properties:
Space-group type: P-1, No. 2

Lattice parameters (Å, degrees): 5.611 5.758 6.586 77.93 77.67 87.34
Fractional positions:
O  0.029  0.249  0.513
O  0.642  0.103  0.298
O  0.942  0.389  0.865
Zn  0.613  0.749  0.500
P  0.163  0.749  0.277
O  0.358  0.897  0.702
Zn  0.028  0.740  0.812
H  0.429  0.920  0.820
O  0.601  0.379  0.665
O  0.971  0.751  0.487
O  0.058  0.611  0.135
O  0.224  0.005  0.153
O  0.399  0.621  0.335
O  0.776  0.995  0.847
P  0.837  0.251  0.723
H  0.571  0.080  0.180
Zn  0.972  0.260  0.188
Zn  0.387  0.251  0.500

=====

Record 3
Here is a geometry-optimized La3AlN structure from the Materials Project. Energies are from PBE.

Computed properties:
Space-group type: Pm-3m, No. 221

Lattice parameters (Å, degrees): 5.101 5.101 5.101 90.00 90.00 90.00
Fractional positions:
Al  0.000  0.000  0.000
La  0.500  0.000  0.500
N  0.500  0.500  0.500
La  0.000  0.500  0.500
La  0.500  0.500  0.000

=====

| no. | energy of formation from the pure elements (meV per atom) |
| --- | --- |
| 1 | -3279 |
| 2 | -2125 |
| 3 | -834 |